1.
This record from Materials Project describes a geometry-optimized Ti9O17 structure. The functional is PBE.

Properties
* space group: No. 2

a b c (Å): 5.577 7.198 14.901
angles (deg): 96.83 90.62 108.63
Atoms (fractional coordinates):
Ti1 0.000 0.000 0.000
Ti2 0.000 0.500 0.000
Ti3 0.169 0.407 0.773
Ti4 0.173 0.908 0.774
Ti5 0.250 0.900 0.341
Ti6 0.251 0.404 0.340
Ti7 0.303 0.310 0.540
Ti8 0.303 0.813 0.543
Ti9 0.409 0.793 0.113
Ti10 0.415 0.295 0.113
Ti11 0.585 0.705 0.887
Ti12 0.591 0.207 0.887
Ti13 0.697 0.187 0.457
Ti14 0.697 0.690 0.460
Ti15 0.749 0.596 0.660
Ti16 0.750 0.100 0.659
Ti17 0.827 0.092 0.226
Ti18 0.831 0.593 0.227
O1 0.043 0.821 0.458
O2 0.045 0.114 0.728
O3 0.060 0.634 0.127
O4 0.106 0.761 0.640
O5 0.126 0.287 0.037
O6 0.140 0.613 0.309
O7 0.193 0.261 0.224
O8 0.226 0.034 0.893
O9 0.286 0.688 0.805
O10 0.291 0.011 0.080
O11 0.297 0.541 0.479
O12 0.352 0.185 0.405
O13 0.359 0.667 0.990
O14 0.387 0.449 0.658
O15 0.458 0.105 0.571
O16 0.458 0.413 0.845
O17 0.479 0.941 0.245
O18 0.521 0.059 0.755
O19 0.542 0.587 0.155
O20 0.542 0.895 0.429
O21 0.613 0.551 0.342
O22 0.641 0.333 0.010
O23 0.648 0.815 0.595
O24 0.703 0.459 0.521
O25 0.709 0.989 0.920
O26 0.714 0.312 0.195
O27 0.774 0.966 0.107
O28 0.807 0.739 0.776
O29 0.860 0.387 0.691
O30 0.874 0.713 0.963
O31 0.894 0.239 0.360
O32 0.940 0.366 0.873
O33 0.955 0.886 0.272
O34 0.957 0.179 0.542

2.
This record from Materials Project describes a geometry-optimized Cd15As9Cl2O37 structure. The functional is PBE.

Properties
* total moment: 0.972 μB per formula unit
* space group: No. 148

a b c (Å): 12.206 12.206 12.206
angles (deg): 93.62 93.62 93.62
Atoms (fractional coordinates):
Cd1 0.000 0.335 0.665
Cd2 0.000 0.665 0.335
Cd3 0.014 0.256 0.978
Cd4 0.022 0.986 0.744
Cd5 0.097 0.342 0.311
Cd6 0.167 0.501 0.832
Cd7 0.168 0.833 0.499
Cd8 0.256 0.978 0.014
Cd9 0.311 0.097 0.342
Cd10 0.313 0.349 0.591
Cd11 0.335 0.000 0.665
Cd12 0.335 0.665 0.000
Cd13 0.342 0.311 0.097
Cd14 0.349 0.591 0.313
Cd15 0.409 0.687 0.651
Cd16 0.499 0.168 0.833
Cd17 0.501 0.832 0.167
Cd18 0.591 0.313 0.349
Cd19 0.651 0.409 0.687
Cd20 0.658 0.689 0.903
Cd21 0.665 0.000 0.335
Cd22 0.665 0.335 0.000
Cd23 0.687 0.651 0.409
Cd24 0.689 0.903 0.658
Cd25 0.744 0.022 0.986
Cd26 0.832 0.167 0.501
Cd27 0.833 0.499 0.168
Cd28 0.903 0.658 0.689
Cd29 0.978 0.014 0.256
Cd30 0.986 0.744 0.022
As1 0.108 0.511 0.131
As2 0.131 0.108 0.511
As3 0.153 0.535 0.559
As4 0.176 0.797 0.774
As5 0.203 0.226 0.824
As6 0.226 0.824 0.203
As7 0.441 0.847 0.465
As8 0.465 0.441 0.847
As9 0.489 0.869 0.892
As10 0.511 0.131 0.108
As11 0.535 0.559 0.153
As12 0.559 0.153 0.535
As13 0.774 0.176 0.797
As14 0.797 0.774 0.176
As15 0.824 0.203 0.226
As16 0.847 0.465 0.441
As17 0.869 0.892 0.489
As18 0.892 0.489 0.869
Cl1 0.092 0.092 0.092
Cl2 0.408 0.408 0.408
Cl3 0.592 0.592 0.592
Cl4 0.908 0.908 0.908
O1 0.004 0.602 0.144
O2 0.024 0.186 0.540
O3 0.042 0.381 0.123
O4 0.047 0.788 0.707
O5 0.062 0.524 0.663
O6 0.074 0.157 0.816
O7 0.123 0.042 0.381
O8 0.128 0.643 0.479
O9 0.144 0.004 0.602
O10 0.146 0.794 0.309
O11 0.147 0.407 0.489
O12 0.157 0.816 0.074
O13 0.178 0.517 0.259
O14 0.184 0.926 0.843
O15 0.186 0.540 0.024
O16 0.190 0.329 0.732
O17 0.206 0.691 0.854
O18 0.212 0.293 0.953
O19 0.250 0.250 0.250
O20 0.259 0.178 0.517
O21 0.268 0.810 0.671
O22 0.283 0.544 0.626
O23 0.293 0.953 0.212
O24 0.309 0.146 0.794
O25 0.329 0.732 0.190
O26 0.337 0.938 0.476
O27 0.357 0.521 0.872
O28 0.374 0.717 0.456
O29 0.381 0.123 0.042
O30 0.398 0.856 0.996
O31 0.407 0.489 0.147
O32 0.456 0.374 0.717
O33 0.460 0.976 0.814
O34 0.476 0.337 0.938
O35 0.479 0.128 0.643
O36 0.483 0.741 0.822
O37 0.489 0.147 0.407
O38 0.511 0.853 0.593
O39 0.517 0.259 0.178
O40 0.521 0.872 0.357
O41 0.524 0.663 0.062
O42 0.540 0.024 0.186
O43 0.544 0.626 0.283
O44 0.593 0.511 0.853
O45 0.602 0.144 0.004
O46 0.619 0.877 0.958
O47 0.626 0.283 0.544
O48 0.643 0.479 0.128
O49 0.663 0.062 0.524
O50 0.671 0.268 0.810
O51 0.691 0.854 0.206
O52 0.707 0.047 0.788
O53 0.717 0.456 0.374
O54 0.732 0.190 0.329
O55 0.741 0.822 0.483
O56 0.750 0.750 0.750
O57 0.788 0.707 0.047
O58 0.794 0.309 0.146
O59 0.810 0.671 0.268
O60 0.814 0.460 0.976
O61 0.816 0.074 0.157
O62 0.822 0.483 0.741
O63 0.843 0.184 0.926
O64 0.853 0.593 0.511
O65 0.854 0.206 0.691
O66 0.856 0.996 0.398
O67 0.872 0.357 0.521
O68 0.877 0.958 0.619
O69 0.926 0.843 0.184
O70 0.938 0.476 0.337
O71 0.953 0.212 0.293
O72 0.958 0.619 0.877
O73 0.976 0.814 0.460
O74 0.996 0.398 0.856

3.
This record from Materials Project describes a geometry-optimized Tb2Co3Si5 structure. The functional is PBE.

Properties
* total moment: 0.136 μB per formula unit
* space group: No. 72

a b c (Å): 7.923 7.923 7.923
angles (deg): 105.45 88.80 138.98
Atoms (fractional coordinates):
Tb1 0.134 0.234 0.368
Tb2 0.366 0.734 0.100
Tb3 0.634 0.266 0.900
Tb4 0.866 0.766 0.632
Co1 0.138 0.892 0.030
Co2 0.250 0.750 0.500
Co3 0.362 0.392 0.754
Co4 0.638 0.608 0.246
Co5 0.750 0.250 0.500
Co6 0.862 0.108 0.970
Si1 0.023 0.750 0.273
Si2 0.101 0.658 0.758
Si3 0.250 0.250 0.000
Si4 0.399 0.158 0.557
Si5 0.477 0.750 0.727
Si6 0.523 0.250 0.273
Si7 0.601 0.842 0.443
Si8 0.750 0.750 0.000
Si9 0.899 0.342 0.242
Si10 0.977 0.250 0.727

Calculated energy relative to the elements in order - -3.45, -1.61, -0.73 eV/atom